LiTiMnO4 after structural relaxation, computed with GGA+U.

Structure (POSCAR):
```
LiTiMnO4
1.0
6.3065 0.0000 0.0000
0.0000 6.3065 0.0000
0.0000 0.0000 7.2332
Li Ti Mn O
4 4 4 16
Direct
0.0000 0.2206 0.0000
0.0000 0.7794 0.5000
0.2206 0.0000 0.2500
0.7794 0.0000 0.7500
0.2164 0.5000 0.2500
0.5000 0.2164 0.0000
0.5000 0.7836 0.5000
0.7836 0.5000 0.7500
0.2583 0.2583 0.6250
0.2583 0.7417 0.8750
0.7417 0.2583 0.3750
0.7417 0.7417 0.1250
0.0334 0.2699 0.2879
0.0334 0.7301 0.2121
0.2656 0.4588 0.9839
0.2656 0.5412 0.5161
0.2699 0.0334 0.9621
0.2699 0.9666 0.5379
0.4588 0.2656 0.2661
0.4588 0.7344 0.2339
0.5412 0.2656 0.7339
0.5412 0.7344 0.7661
0.7301 0.0334 0.0379
0.7301 0.9666 0.4621
0.7344 0.4588 0.0161
0.7344 0.5412 0.4839
0.9666 0.2699 0.7121
0.9666 0.7301 0.7879
```

ρ ... 4.012 Mg/m³
Energy relative to the elements ... -2.66 eV per atom
E_tot ... -7.563 eV per atom
Energy relative to the lowest polymorph listed for this composition ... 0.073 eV per atom